[1]
18
Lattice="5.473 0.000 0.000 0.000 5.473 0.000 0.000 0.000 7.442" Properties=species:S:1:pos:R:3 comment="BaDyCr4O12, optimized geometry, DFT PBE with a Hubbard U" ef_ev_per_fu=-37.08 volume_a3_per_cell=223 pbc="T T T"
Cr 2.737 0.000 1.872
Cr 0.000 2.737 5.570
Cr 0.000 2.737 1.872
Cr 2.737 0.000 5.570
O 4.180 4.180 5.440
O 1.293 4.180 5.440
O 4.180 1.293 2.002
O 1.293 1.293 5.440
O 0.000 2.737 0.000
O 0.000 2.737 3.721
O 2.737 0.000 0.000
O 2.737 0.000 3.721
O 1.293 4.180 2.002
O 4.180 4.180 2.002
O 1.293 1.293 2.002
O 4.180 1.293 5.440
Ba 2.737 2.737 0.000
Dy 0.000 0.000 3.721


[2]
19
Lattice="-4.804 4.804 3.253 -0.056 4.769 -3.288 -4.769 0.056 -3.288" Properties=species:S:1:pos:R:3 comment="LiFe6O4F8, optimized geometry, DFT PBE with a Hubbard U" ef_ev_per_fu=-41.05 volume_a3_per_cell=223 pbc="T T T"
Fe -3.093 6.536 -1.661
Fe -2.474 2.434 -1.798
Fe -4.578 4.875 0.241
Fe -7.194 7.154 -1.525
Fe -0.066 4.759 -3.288
Fe -4.754 5.051 -3.564
F -5.825 5.968 -5.197
F -3.922 3.934 -1.789
F -6.197 3.647 -3.562
F -5.695 5.707 -1.534
F -5.737 5.814 1.754
F -3.661 3.804 1.874
F -3.815 3.891 -5.076
F -5.982 3.432 0.239
Li -5.991 3.637 -1.661
O -1.460 3.365 -3.288
O -3.372 1.693 -0.270
O -7.936 6.257 -3.052
O -3.350 1.475 -3.288